1.
Computed, not measured: a relaxed structure of DyAsS at the r2SCAN level of DFT.

Values from the calculation:
Formation energy (eV per atom): -1.7907

Geometry as POSCAR:
```
DyAsS
1.0
16.955 0.000 0.000
0.000 3.811 0.000
0.000 0.000 3.852
Dy As S
4 4 4
direct
0.146 0.250 0.231
0.354 0.750 0.731
0.646 0.250 0.269
0.854 0.750 0.769
0.002 0.250 0.714
0.498 0.750 0.214
0.502 0.250 0.786
0.998 0.750 0.286
0.187 0.750 0.733
0.313 0.250 0.233
0.687 0.750 0.767
0.813 0.250 0.267
```


2.
Computed, not measured: a relaxed structure of DyAsSe at the r2SCAN level of DFT.

Values from the calculation:
Formation energy (eV per atom): -1.6605

Geometry as POSCAR:
```
DyAsSe
1.0
17.472 0.000 0.000
0.000 3.891 0.000
0.000 0.000 3.937
Dy As Se
4 4 4
direct
0.140 0.250 0.231
0.360 0.750 0.731
0.640 0.250 0.269
0.860 0.750 0.769
0.002 0.250 0.709
0.498 0.750 0.209
0.502 0.250 0.791
0.998 0.750 0.291
0.187 0.750 0.734
0.313 0.250 0.234
0.687 0.750 0.766
0.813 0.250 0.266
```